No. 1
Here is an optimized crystal structure of LuPb2 from Materials Project. Energies are from meta-GGA r2SCAN.

Structure (CIF):
```
data_LuPb2
_chemical_formula_sum 'Lu1 Pb2'
_symmetry_space_group_name_H-M 'P 1'
_symmetry_Int_Tables_number 1
_cell_length_a 6.184
_cell_length_b 6.184
_cell_length_c 6.184
_cell_angle_alpha 143.29
_cell_angle_beta 143.29
_cell_angle_gamma 52.90
loop_
_symmetry_equiv_pos_as_xyz
'x,y,z'
loop_
_atom_site_label
_atom_site_fract_x
_atom_site_fract_y
_atom_site_fract_z
Lu1 0.000 0.000 0.000
Pb1 0.339 0.339 0.000
Pb2 0.661 0.661 0.000
```

---

No. 2
Here is an optimized crystal structure of Ti2P3O12 from Materials Project. Energies are from meta-GGA r2SCAN.

Structure (CIF):
```
data_Ti2P3O12
_chemical_formula_sum 'Ti4 P6 O24'
_symmetry_space_group_name_H-M 'P 1'
_symmetry_Int_Tables_number 1
_cell_length_a 8.783
_cell_length_b 8.783
_cell_length_c 8.783
_cell_angle_alpha 58.48
_cell_angle_beta 58.48
_cell_angle_gamma 58.48
loop_
_symmetry_equiv_pos_as_xyz
'x,y,z'
loop_
_atom_site_label
_atom_site_fract_x
_atom_site_fract_y
_atom_site_fract_z
Ti1 0.140 0.140 0.140
Ti2 0.360 0.360 0.360
Ti3 0.640 0.640 0.640
Ti4 0.860 0.860 0.860
P1 0.032 0.750 0.468
P2 0.250 0.532 0.968
P3 0.468 0.032 0.750
P4 0.532 0.968 0.250
P5 0.750 0.468 0.032
P6 0.968 0.250 0.532
O1 0.002 0.778 0.640
O2 0.060 0.924 0.290
O3 0.076 0.710 0.940
O4 0.140 0.278 0.502
O5 0.210 0.576 0.440
O6 0.222 0.360 0.998
O7 0.278 0.502 0.140
O8 0.290 0.060 0.924
O9 0.360 0.998 0.222
O10 0.424 0.560 0.790
O11 0.440 0.210 0.576
O12 0.498 0.860 0.722
O13 0.502 0.140 0.278
O14 0.560 0.790 0.424
O15 0.576 0.440 0.210
O16 0.640 0.002 0.778
O17 0.710 0.940 0.076
O18 0.722 0.498 0.860
O19 0.778 0.640 0.002
O20 0.790 0.424 0.560
O21 0.860 0.722 0.498
O22 0.924 0.290 0.060
O23 0.940 0.076 0.710
O24 0.998 0.222 0.360
```

---

No. 3
Here is an optimized crystal structure of PrSnRu from Materials Project. Energies are from meta-GGA r2SCAN.

Structure (CIF):
```
data_PrSnRu
_chemical_formula_sum 'Pr4 Sn4 Ru4'
_symmetry_space_group_name_H-M 'P 1'
_symmetry_Int_Tables_number 1
_cell_length_a 7.679
_cell_length_b 4.867
_cell_length_c 7.369
_cell_angle_alpha 90.00
_cell_angle_beta 90.00
_cell_angle_gamma 90.00
loop_
_symmetry_equiv_pos_as_xyz
'x,y,z'
loop_
_atom_site_label
_atom_site_fract_x
_atom_site_fract_y
_atom_site_fract_z
Pr1 0.034 0.250 0.191
Pr2 0.466 0.750 0.691
Pr3 0.534 0.250 0.309
Pr4 0.966 0.750 0.809
Sn1 0.194 0.250 0.613
Sn2 0.306 0.750 0.113
Sn3 0.694 0.250 0.887
Sn4 0.806 0.750 0.387
Ru1 0.151 0.750 0.442
Ru2 0.349 0.250 0.942
Ru3 0.651 0.750 0.058
Ru4 0.849 0.250 0.558
```

---

Formation enthalpy at 0 K values, unit eV per atom, following the record order: -0.21, -2.64, -0.55.
VASP energy values, unit eV per atom, following the record order: -50.4237, -9.9631, -27.0721.